Record 1
The following is a DFT calculation (PBE) of a relaxed LiAgF3 crystal.

Output
**Relative energy among the computed polymorphs**: 22 meV/atom
**Energy with MP2020 corrections**: -4.15 eV/atom
**E**: -3.877 eV per atom
**Energy of formation**: -2.06 eV per atom
**Size of the total moment**: 1.00 μB per formula unit

abc: 5.4252 5.7043 5.4655
angles: 63.51 62.00 85.85
Fractional positions:
Li1 0.6250 0.9357 0.7156
Li2 0.3750 0.0641 0.2845
F1 0.0616 0.2477 0.4950
F2 0.4086 0.2046 0.8653
F3 0.7029 0.2383 0.2439
F4 0.9384 0.7523 0.5049
F5 0.5915 0.7955 0.1347
F6 0.2972 0.7619 0.7560
Ag1 0.1617 0.4583 0.6957
Ag2 0.8382 0.5416 0.3044



Record 2
The following is a DFT calculation (PBE) of a relaxed LiAg2F6 crystal.

Output
**Relative energy among the computed polymorphs**: 28 meV/atom
**Energy with MP2020 corrections**: -3.87 eV/atom
**E**: -3.561 eV per atom
**Energy of formation**: -1.75 eV per atom
**Size of the total moment**: 0.65 μB per formula unit

abc: 5.4744 5.4744 4.8178
angles: 90.00 90.00 120.00
Fractional positions:
F1 0.6572 0.0000 0.0000
F2 0.0000 0.6572 0.0000
F3 0.3544 0.0000 0.5000
F4 0.0000 0.3544 0.5000
F5 0.3428 0.3428 0.0000
F6 0.6456 0.6456 0.5000
Ag1 0.3333 0.6667 0.2570
Ag2 0.6667 0.3333 0.7430
Li1 0.0000 0.0000 0.0000



Record 3
The following is a DFT calculation (PBE) of a relaxed LiAgF3 crystal.

Output
**Relative energy among the computed polymorphs**: 1 meV/atom
**Energy with MP2020 corrections**: -4.18 eV/atom
**E**: -3.898 eV per atom
**Energy of formation**: -2.08 eV per atom
**Size of the total moment**: 0.00 μB per formula unit

abc: 5.4942 5.6404 8.3811
angles: 90.10 92.57 89.78
Fractional positions:
Li1 0.4731 0.5170 0.2294
Li2 0.5269 0.4830 0.7706
Li3 0.0276 0.0183 0.2700
Li4 0.9724 0.9817 0.7300
F1 0.3366 0.8387 0.2843
F2 0.6836 0.3619 0.3891
F3 0.6634 0.1613 0.7157
F4 0.8187 0.8633 0.1096
F5 0.8345 0.6614 0.7842
F6 0.1534 0.1620 0.5519
F7 0.1655 0.3386 0.2158
F8 0.8466 0.8380 0.4481
F9 0.1813 0.1367 0.8904
F10 0.3164 0.6381 0.6109
F11 0.6545 0.3374 0.0505
F12 0.3455 0.6626 0.9495
Ag1 0.0000 0.5000 0.5000
Ag2 0.0000 0.5000 0.0000
Ag3 0.5000 0.0000 0.5000
Ag4 0.5000 0.0000 0.0000



Record 4
The following is a DFT calculation (PBE) of a relaxed LiAg5F12 crystal.

Output
**Energy with MP2020 corrections**: -3.75 eV/atom
**E**: -3.445 eV per atom
**Energy of formation**: -1.58 eV per atom

abc: 4.9682 4.9682 10.5808
angles: 90.00 90.00 90.36
Fractional positions:
Ag1 0.5000 0.5000 0.8426
Ag2 0.5000 0.5000 0.1574
Ag3 0.0000 0.0000 0.6747
Ag4 0.0000 0.0000 0.3253
Ag5 0.5000 0.5000 0.5000
F1 0.2051 0.2051 0.8344
F2 0.2888 0.7112 0.0000
F3 0.7949 0.7949 0.1656
F4 0.3029 0.6971 0.6674
F5 0.7112 0.2888 0.0000
F6 0.6971 0.3029 0.6674
F7 0.6971 0.3029 0.3326
F8 0.8053 0.8053 0.5000
F9 0.7949 0.7949 0.8344
F10 0.3029 0.6971 0.3326
F11 0.1947 0.1947 0.5000
F12 0.2051 0.2051 0.1656
Li1 0.0000 0.0000 0.0000



Record 5
The following is a DFT calculation (PBE) of a relaxed Li6Ag3F10 crystal.

Output
**Energy with MP2020 corrections**: -4.46 eV/atom
**E**: -4.220 eV per atom
**Energy of formation**: -2.41 eV per atom
**Size of the total moment**: 1.00 μB per formula unit

abc: 5.5623 9.2039 19.8135
angles: 90.00 90.00 90.00
Fractional positions:
Ag1 0.8209 0.5993 0.9204
Ag2 0.1993 0.0827 0.2259
Ag3 0.8551 0.9246 0.1034
Ag4 0.3209 0.4007 0.0796
Ag5 0.3551 0.0754 0.8966
Ag6 0.8551 0.5754 0.6034
Ag7 0.3551 0.4246 0.3966
Ag8 0.3209 0.0993 0.5796
Ag9 0.6993 0.5827 0.2741
Ag10 0.8209 0.9007 0.4204
Ag11 0.1993 0.4173 0.7259
Ag12 0.6993 0.9173 0.7741
Li1 0.8275 0.5446 0.1054
Li2 0.3680 0.7303 0.1471
Li3 0.8766 0.0129 0.9553
Li4 0.8275 0.9554 0.6054
Li5 0.8680 0.2303 0.3529
Li6 0.2554 0.7731 0.2977
Li7 0.8766 0.4871 0.4553
Li8 0.1875 0.0797 0.7341
Li9 0.7554 0.2269 0.7023
Li10 0.6875 0.5797 0.7659
Li11 0.3275 0.0446 0.3946
Li12 0.3766 0.9871 0.0447
Li13 0.6875 0.9203 0.2659
Li14 0.8680 0.2697 0.8529
Li15 0.3680 0.7697 0.6471
Li16 0.7361 0.2235 0.4825
Li17 0.2361 0.7765 0.5175
Li18 0.2361 0.7235 0.0175
Li19 0.7554 0.2731 0.2023
Li20 0.3766 0.5129 0.5447
Li21 0.3275 0.4554 0.8946
Li22 0.2554 0.7269 0.7977
Li23 0.7361 0.2765 0.9825
Li24 0.1875 0.4203 0.2341
F1 0.0061 0.3908 0.1481
F2 0.5678 0.3066 0.8988
F3 0.9109 0.3513 0.2799
F4 0.7899 0.4340 0.7038
F5 0.5061 0.6092 0.8519
F6 0.5174 0.6990 0.5660
F7 0.6996 0.5657 0.3846
F8 0.5061 0.8908 0.3519
F9 0.1732 0.5527 0.9691
F10 0.6732 0.4473 0.0309
F11 0.1732 0.9473 0.4691
F12 0.1996 0.0657 0.1154
F13 0.2899 0.9340 0.7962
F14 0.5704 0.5667 0.1681
F15 0.0678 0.6934 0.1012
F16 0.1408 0.9077 0.9849
F17 0.4109 0.6487 0.7201
F18 0.4303 0.2831 0.2267
F19 0.4303 0.2169 0.7267
F20 0.0704 0.4333 0.8319
F21 0.1408 0.5923 0.4849
F22 0.6996 0.9343 0.8846
F23 0.4109 0.8513 0.2201
F24 0.5174 0.8010 0.0660
F25 0.1996 0.4343 0.6154
F26 0.0061 0.1092 0.6481
F27 0.5704 0.9333 0.6681
F28 0.6732 0.0527 0.5309
F29 0.7899 0.0660 0.2038
F30 0.9303 0.7169 0.7733
F31 0.9303 0.7831 0.2733
F32 0.0678 0.8066 0.6012
F33 0.0174 0.3010 0.4340
F34 0.0704 0.0667 0.3319
F35 0.6408 0.4077 0.5151
F36 0.6408 0.0923 0.0151
F37 0.5678 0.1934 0.3988
F38 0.9109 0.1487 0.7799
F39 0.0174 0.1990 0.9340
F40 0.2899 0.5660 0.2962



Record 6
The following is a DFT calculation (PBE) of a relaxed LiAg2F6 crystal.

Output
**Relative energy among the computed polymorphs**: 43 meV/atom
**Energy with MP2020 corrections**: -3.85 eV/atom
**E**: -3.546 eV per atom
**Energy of formation**: -1.74 eV per atom
**Size of the total moment**: 1.00 μB per formula unit

abc: 5.4872 5.6095 16.0845
angles: 86.19 90.00 90.00
Fractional positions:
Ag1 0.4858 0.7582 0.2549
Ag2 0.5282 0.2991 0.4231
Ag3 0.0142 0.7582 0.7549
Ag4 0.9718 0.2991 0.9231
Ag5 0.9858 0.2418 0.2451
Ag6 0.5142 0.2418 0.7451
Ag7 0.0282 0.7009 0.0769
Ag8 0.4718 0.7009 0.5769
F1 0.1434 0.0756 0.3449
F2 0.3566 0.0756 0.8449
F3 0.6434 0.9244 0.1551
F4 0.7394 0.6065 0.4784
F5 0.8288 0.4245 0.1469
F6 0.3251 0.5307 0.1831
F7 0.2368 0.9205 0.5061
F8 0.7606 0.6065 0.9784
F9 0.1712 0.5755 0.8531
F10 0.3535 0.0092 0.6732
F11 0.6712 0.4245 0.6469
F12 0.8535 0.9908 0.8268
F13 0.1749 0.5307 0.6831
F14 0.6749 0.4693 0.8169
F15 0.2606 0.3935 0.5216
F16 0.8251 0.4693 0.3169
F17 0.2394 0.3935 0.0216
F18 0.8566 0.9244 0.6551
F19 0.6465 0.9908 0.3268
F20 0.2632 0.9205 0.0061
F21 0.1465 0.0092 0.1732
F22 0.3288 0.5755 0.3531
F23 0.7368 0.0795 0.9939
F24 0.7632 0.0795 0.4939
Li1 0.0378 0.1568 0.5674
Li2 0.9622 0.8432 0.4326
Li3 0.5378 0.8432 0.9326
Li4 0.4622 0.1568 0.0674



Record 7
The following is a DFT calculation (PBE) of a relaxed LiAgF3 crystal.

Output
**Relative energy among the computed polymorphs**: 24 meV/atom
**Energy with MP2020 corrections**: -4.15 eV/atom
**E**: -3.876 eV per atom
**Energy of formation**: -2.06 eV per atom
**Size of the total moment**: 1.00 μB per formula unit

abc: 5.6200 5.2709 9.7185
angles: 57.67 90.00 90.00
Fractional positions:
Li1 0.0000 0.5000 0.0000
Li2 0.5000 0.5000 0.5000
Li3 0.5000 0.0000 0.0000
Li4 0.0000 0.0000 0.5000
F1 0.4379 0.6114 0.2494
F2 0.2966 0.2321 0.0716
F3 0.9379 0.3886 0.2506
F4 0.7123 0.1280 0.5763
F5 0.5621 0.3886 0.7506
F6 0.7966 0.7679 0.4284
F7 0.7034 0.7679 0.9284
F8 0.2123 0.8720 0.9237
F9 0.2034 0.2321 0.5716
F10 0.7877 0.1280 0.0763
F11 0.0621 0.6114 0.7494
F12 0.2877 0.8720 0.4237
Ag1 0.4183 0.7278 0.7922
Ag2 0.0817 0.7278 0.2922
Ag3 0.5817 0.2722 0.2078
Ag4 0.9183 0.2722 0.7078



Record 8
The following is a DFT calculation (PBE) of a relaxed Li2AgF6 crystal.

Output
**Energy with MP2020 corrections**: -4.09 eV/atom
**E**: -3.779 eV per atom
**Energy of formation**: -2.07 eV per atom

abc: 4.7827 4.7827 9.3171
angles: 90.00 90.00 90.00
Fractional positions:
F1 0.6953 0.6953 0.0000
F2 0.1924 0.8076 0.8352
F3 0.6924 0.6924 0.3352
F4 0.3076 0.3076 0.3352
F5 0.8076 0.1924 0.8352
F6 0.1924 0.8076 0.1648
F7 0.3076 0.3076 0.6648
F8 0.1953 0.8047 0.5000
F9 0.6924 0.6924 0.6648
F10 0.8047 0.1953 0.5000
F11 0.3047 0.3047 0.0000
F12 0.8076 0.1924 0.1648
Ag1 0.0000 0.0000 0.0000
Ag2 0.5000 0.5000 0.5000
Li1 0.5000 0.5000 0.1633
Li2 0.5000 0.5000 0.8367
Li3 0.0000 0.0000 0.6633
Li4 0.0000 0.0000 0.3367



Record 9
The following is a DFT calculation (PBE) of a relaxed LiAg2F6 crystal.

Output
**Relative energy among the computed polymorphs**: 0 meV/atom
**Energy with MP2020 corrections**: -3.90 eV/atom
**E**: -3.589 eV per atom
**Energy of formation**: -1.78 eV per atom
**Size of the total moment**: 0.03 μB per formula unit

abc: 9.2856 9.2856 4.8230
angles: 90.00 90.00 120.00
Fractional positions:
F1 0.4798 0.5943 0.2723
F2 0.5436 0.8010 0.7422
F3 0.5202 0.1145 0.7277
F4 0.4564 0.2574 0.2578
F5 0.1139 0.2158 0.2381
F6 0.2158 0.1139 0.7619
F7 0.8855 0.4057 0.7277
F8 0.8981 0.7842 0.7619
F9 0.1145 0.5202 0.2723
F10 0.5943 0.4798 0.7277
F11 0.8861 0.1019 0.7619
F12 0.1990 0.7426 0.7422
F13 0.7842 0.8981 0.2381
F14 0.8010 0.5436 0.2578
F15 0.4057 0.8855 0.2723
F16 0.7426 0.1990 0.2578
F17 0.1019 0.8861 0.2381
F18 0.2574 0.4564 0.7422
Ag1 0.0000 0.3053 0.5000
Ag2 0.3053 0.0000 0.5000
Ag3 0.6947 0.6947 0.5000
Ag4 0.6377 0.0000 0.0000
Ag5 0.0000 0.6377 0.0000
Ag6 0.3623 0.3623 0.0000
Li1 0.0000 0.0000 0.0000
Li2 0.3333 0.6667 0.5146
Li3 0.6667 0.3333 0.4854



Record 10
The following is a DFT calculation (PBE) of a relaxed LiAgF3 crystal.

Output
**Relative energy among the computed polymorphs**: 2 meV/atom
**Energy with MP2020 corrections**: -4.17 eV/atom
**E**: -3.897 eV per atom
**Energy of formation**: -2.08 eV per atom
**Size of the total moment**: 0.00 μB per formula unit

abc: 6.7979 6.7979 6.0606
angles: 87.77 87.77 87.05
Fractional positions:
F1 0.8020 0.9252 0.6047
F2 0.1980 0.0748 0.3953
F3 0.7059 0.5237 0.8357
F4 0.6223 0.1279 0.1431
F5 0.3777 0.8721 0.8569
F6 0.2941 0.4763 0.1643
F7 0.9252 0.8020 0.1047
F8 0.5237 0.7059 0.3357
F9 0.0748 0.1980 0.8953
F10 0.8721 0.3777 0.3569
F11 0.1279 0.6223 0.6431
F12 0.4763 0.2941 0.6643
Ag1 0.2102 0.7898 0.2500
Ag2 0.5907 0.4093 0.2500
Ag3 0.7898 0.2102 0.7500
Ag4 0.4093 0.5907 0.7500
Li1 0.7286 0.9023 0.3054
Li2 0.0977 0.2714 0.1946
Li3 0.9023 0.7286 0.8054
Li4 0.2714 0.0977 0.6946



Record 11
The following is a DFT calculation (PBE) of a relaxed LiAg2F5 crystal.

Output
**Energy with MP2020 corrections**: -3.93 eV/atom
**E**: -3.645 eV per atom
**Energy of formation**: -1.79 eV per atom
**Size of the total moment**: 0.26 μB per formula unit

abc: 8.1023 10.7093 11.7182
angles: 90.21 91.08 108.90
Fractional positions:
Ag1 0.8761 0.0925 0.2340
Ag2 0.2512 0.2520 0.9999
Ag3 0.0000 0.5000 0.5000
Ag4 0.7839 0.7686 0.5015
Ag5 0.0000 0.5000 0.0000
Ag6 0.5000 0.0000 0.5000
Ag7 0.8749 0.1730 0.7485
Ag8 0.2161 0.2314 0.4985
Ag9 0.3970 0.6652 0.7311
Ag10 0.1239 0.9075 0.7660
Ag11 0.6030 0.3348 0.2689
Ag12 0.7488 0.7480 0.0001
Ag13 0.6234 0.4216 0.7742
Ag14 0.1251 0.8270 0.2515
Ag15 0.5000 0.0000 0.0000
Ag16 0.3766 0.5784 0.2258
F1 0.5754 0.5257 0.1490
F2 0.8317 0.6649 0.8706
F3 0.7612 0.1241 0.0851
F4 0.0713 0.3519 0.4295
F5 0.5415 0.7775 0.8956
F6 0.7195 0.0617 0.6071
F7 0.3065 0.8524 0.6881
F8 0.2388 0.8759 0.9149
F9 0.8379 0.4270 0.1573
F10 0.8843 0.7271 0.3378
F11 0.3511 0.2273 0.3396
F12 0.9287 0.6481 0.5705
F13 0.0215 0.9435 0.6190
F14 0.0666 0.0417 0.1566
F15 0.3393 0.1719 0.8690
F16 0.4971 0.5616 0.3800
F17 0.7926 0.3596 0.6716
F18 0.5658 0.8366 0.4405
F19 0.2805 0.9383 0.3929
F20 0.4585 0.2225 0.1044
F21 0.1157 0.2729 0.6622
F22 0.6511 0.0536 0.8426
F23 0.9463 0.7208 0.1066
F24 0.1621 0.5730 0.8427
F25 0.2474 0.5827 0.5731
F26 0.5029 0.4384 0.6200
F27 0.6935 0.1476 0.3119
F28 0.3489 0.9464 0.1574
F29 0.7511 0.3800 0.9223
F30 0.4246 0.4743 0.8510
F31 0.9334 0.9583 0.8434
F32 0.4342 0.1634 0.5595
F33 0.0537 0.2792 0.8934
F34 0.6607 0.8281 0.1310
F35 0.7526 0.4173 0.4269
F36 0.9785 0.0565 0.3810
F37 0.6489 0.7727 0.6604
F38 0.1683 0.3351 0.1294
F39 0.2074 0.6404 0.3284
F40 0.2489 0.6200 0.0777
Li1 0.8007 0.6005 0.2160
Li2 0.1993 0.3995 0.7840
Li3 0.7030 0.2803 0.0549
Li4 0.2970 0.7197 0.9451
Li5 0.6190 0.3309 0.5511
Li6 0.3015 0.0980 0.2213
Li7 0.6985 0.9020 0.7787
Li8 0.3810 0.6691 0.4489